1.
## NiO (meta-GGA r2SCAN)

Data for NiO after structural relaxation. Values from VASP.

Output
Space group: Fm-3m, No. 225
Formation energy (eV per formula unit): -2.20

Cell and atoms, written as Quantum ESPRESSO input:
```
&SYSTEM
  ibrav = 0, nat = 2, ntyp = 2
/
ATOMIC_SPECIES
Ni 58.69 Ni.upf
O 16.00 O.upf
CELL_PARAMETERS angstrom
-2.8565 -0.6339 -0.4486
-0.9039 -2.8187 -0.0287
-1.6504 -1.0478 2.2228
ATOMIC_POSITIONS crystal
Ni 0.0000 0.0000 0.0000
O 0.5000 0.5000 0.5000
```



2.
## Ni3O4 (meta-GGA r2SCAN)

Data for Ni3O4 after structural relaxation. Values from VASP.

Output
Formation energy (eV per formula unit): -7.58

Cell and atoms, written as Quantum ESPRESSO input:
```
&SYSTEM
  ibrav = 0, nat = 14, ntyp = 2
/
ATOMIC_SPECIES
Ni 58.69 Ni.upf
O 16.00 O.upf
CELL_PARAMETERS angstrom
-1.1287 1.8914 4.5500
5.3798 1.8548 -1.1587
0.7745 5.2848 -2.0042
ATOMIC_POSITIONS crystal
Ni 0.0000 0.0000 0.0000
Ni 0.0000 0.0000 0.5000
Ni 0.5000 0.5000 0.7500
Ni 0.5000 0.5000 0.2500
Ni 0.0000 0.5000 0.5000
Ni 0.0000 0.5000 0.0000
O 0.7937 0.2937 0.3533
O 0.7937 0.2937 0.8533
O 0.2063 0.7063 0.1467
O 0.2063 0.7063 0.6467
O 0.7722 0.7277 0.8861
O 0.7722 0.7277 0.3861
O 0.2277 0.2723 0.6139
O 0.2277 0.2723 0.1139
```



3.
## Ni3P2O8 (meta-GGA r2SCAN)

Data for Ni3P2O8 after structural relaxation. Values from VASP.

Output
Space group: P2_1/c, No. 14
Formation energy (eV per formula unit): -24.91

Cell and atoms, written as Quantum ESPRESSO input:
```
&SYSTEM
  ibrav = 0, nat = 26, ntyp = 3
/
ATOMIC_SPECIES
Ni 58.69 Ni.upf
P 30.97 P.upf
O 16.00 O.upf
CELL_PARAMETERS angstrom
-2.5919 -3.0458 -2.4370
4.4420 -3.7407 -0.0492
-3.1657 -4.1875 8.6005
ATOMIC_POSITIONS crystal
Ni 0.0131 0.2429 0.7265
Ni 0.5131 0.7571 0.7735
Ni 0.4869 0.2429 0.2265
Ni 0.9869 0.7571 0.2735
Ni 0.5000 0.5000 0.5000
Ni 0.0000 0.5000 0.0000
P 0.0772 0.7494 0.5948
P 0.5772 0.2506 0.9052
P 0.9228 0.2506 0.4052
P 0.4228 0.7494 0.0948
O 0.2342 0.5337 0.6622
O 0.7342 0.4663 0.8378
O 0.7658 0.4663 0.3378
O 0.2658 0.5337 0.1622
O 0.1999 0.9496 0.6731
O 0.6999 0.0504 0.8269
O 0.8001 0.0504 0.3269
O 0.3001 0.9496 0.1731
O 0.3083 0.7442 0.9518
O 0.8083 0.2558 0.5482
O 0.7469 0.7326 0.1012
O 0.2469 0.2674 0.3988
O 0.2531 0.2674 0.8988
O 0.6917 0.2558 0.0482
O 0.1917 0.7442 0.4518
O 0.7531 0.7326 0.6012
```



4.
## Ni2P2O7 (meta-GGA r2SCAN)

Data for Ni2P2O7 after structural relaxation. Values from VASP.

Output
Space group: P2_1/c, No. 14
Formation energy (eV per formula unit): -22.22
Relative energy among the computed polymorphs (kJ per mole of atoms): 0.0

Cell and atoms, written as Quantum ESPRESSO input:
```
&SYSTEM
  ibrav = 0, nat = 22, ntyp = 3
/
ATOMIC_SPECIES
Ni 58.69 Ni.upf
P 30.97 P.upf
O 16.00 O.upf
CELL_PARAMETERS angstrom
4.4552 0.0059 0.0000
-0.6668 5.1442 0.0000
0.0000 0.0000 9.8551
ATOMIC_POSITIONS crystal
Ni 0.0969 0.4180 0.6564
Ni 0.0969 0.9180 0.8436
Ni 0.9031 0.5820 0.3436
Ni 0.9031 0.0820 0.1564
P 0.3577 0.1575 0.3880
P 0.6423 0.3425 0.8880
P 0.3577 0.6575 0.1120
P 0.6423 0.8425 0.6120
O 0.5000 0.5000 0.0000
O 0.5000 0.0000 0.5000
O 0.1178 0.9630 0.3213
O 0.8822 0.0370 0.6787
O 0.1178 0.4630 0.1787
O 0.8822 0.5370 0.8213
O 0.3827 0.7394 0.7051
O 0.3827 0.2394 0.7949
O 0.6173 0.7606 0.2051
O 0.6173 0.2606 0.2949
O 0.7861 0.6260 0.5424
O 0.7861 0.1260 0.9576
O 0.2139 0.3740 0.4576
O 0.2139 0.8740 0.0424
```



5.
## Ni2P2O7 (meta-GGA r2SCAN)

Data for Ni2P2O7 after structural relaxation. Values from VASP.

Output
Formation energy (eV per formula unit): -22.12
Relative energy among the computed polymorphs (kJ per mole of atoms): 0.9

Cell and atoms, written as Quantum ESPRESSO input:
```
&SYSTEM
  ibrav = 0, nat = 22, ntyp = 3
/
ATOMIC_SPECIES
Ni 58.69 Ni.upf
P 30.97 P.upf
O 16.00 O.upf
CELL_PARAMETERS angstrom
-2.9469 -4.1209 1.2067
4.0723 -0.3564 3.2266
-4.5928 6.1296 4.5360
ATOMIC_POSITIONS crystal
Ni 0.3133 0.6867 0.7500
Ni 0.6867 0.3133 0.2500
Ni 0.3133 0.6867 0.2500
Ni 0.6867 0.3133 0.7500
P 0.2209 0.2209 0.4539
P 0.2209 0.2209 0.9539
P 0.7791 0.7791 0.0461
P 0.7791 0.7791 0.5461
O 0.0000 0.0000 0.5000
O 0.0000 0.0000 0.0000
O 0.3799 0.3799 0.1088
O 0.3799 0.3799 0.6088
O 0.6201 0.6201 0.3912
O 0.6201 0.6201 0.8912
O 0.9244 0.6155 0.1387
O 0.9244 0.6155 0.6387
O 0.3845 0.0755 0.3613
O 0.3845 0.0755 0.8613
O 0.0756 0.3845 0.3613
O 0.0756 0.3845 0.8613
O 0.6155 0.9245 0.1387
O 0.6155 0.9245 0.6387
```



6.
## Ni2P2O7 (meta-GGA r2SCAN)

Data for Ni2P2O7 after structural relaxation. Values from VASP.

Output
Space group: P2_1/c, No. 14
Formation energy (eV per formula unit): -22.20
Relative energy among the computed polymorphs (kJ per mole of atoms): 0.2

Cell and atoms, written as Quantum ESPRESSO input:
```
&SYSTEM
  ibrav = 0, nat = 44, ntyp = 3
/
ATOMIC_SPECIES
Ni 58.69 Ni.upf
P 30.97 P.upf
O 16.00 O.upf
CELL_PARAMETERS angstrom
-5.6889 0.1267 5.9735
0.5659 -6.8666 0.6845
6.1857 -2.5267 5.9446
ATOMIC_POSITIONS crystal
Ni 0.4414 0.3055 0.8223
Ni 0.5586 0.6945 0.1777
Ni 0.9414 0.6945 0.6777
Ni 0.0586 0.3055 0.3223
Ni 0.5743 0.7691 0.6090
Ni 0.4257 0.2309 0.3910
Ni 0.0743 0.2309 0.8910
Ni 0.9257 0.7691 0.1090
P 0.7704 0.0600 0.7569
P 0.2296 0.9400 0.2431
P 0.2704 0.9400 0.7431
P 0.7296 0.0600 0.2569
P 0.2252 0.5294 0.5341
P 0.7748 0.4706 0.4659
P 0.7252 0.4706 0.9659
P 0.2748 0.5294 0.0341
O 0.1678 0.7496 0.4038
O 0.8322 0.2504 0.5962
O 0.6678 0.2504 0.0962
O 0.3322 0.7496 0.9038
O 0.7642 0.6222 0.5508
O 0.2358 0.3778 0.4492
O 0.2642 0.3778 0.9492
O 0.7358 0.6222 0.0508
O 0.2615 0.1219 0.7980
O 0.7385 0.8781 0.2020
O 0.7615 0.8781 0.7020
O 0.2385 0.1219 0.2980
O 0.3887 0.5521 0.6046
O 0.6113 0.4479 0.3954
O 0.8887 0.4479 0.8954
O 0.1113 0.5521 0.1046
O 0.9064 0.0230 0.8807
O 0.0936 0.9770 0.1193
O 0.4064 0.9770 0.6193
O 0.5936 0.0230 0.3807
O 0.0879 0.4756 0.6582
O 0.9121 0.5244 0.3418
O 0.5879 0.5244 0.8418
O 0.4121 0.4756 0.1582
O 0.6120 0.1166 0.8091
O 0.3880 0.8834 0.1909
O 0.1120 0.8834 0.6909
O 0.8880 0.1166 0.3091
```



7.
## NiP2O6 (meta-GGA r2SCAN)

Data for NiP2O6 after structural relaxation. Values from VASP.

Output
Space group: C2/c, No. 15
Formation energy (eV per formula unit): -19.23

Cell and atoms, written as Quantum ESPRESSO input:
```
&SYSTEM
  ibrav = 0, nat = 36, ntyp = 3
/
ATOMIC_SPECIES
Ni 58.69 Ni.upf
P 30.97 P.upf
O 16.00 O.upf
CELL_PARAMETERS angstrom
4.0988 5.8029 0.0040
-4.0988 5.8029 0.0040
0.0000 4.6916 8.6511
ATOMIC_POSITIONS crystal
Ni 0.4424 0.5576 0.2500
Ni 0.5576 0.4424 0.7500
Ni 0.5000 0.0000 0.0000
Ni 0.0000 0.5000 0.5000
P 0.2297 0.7505 0.9765
P 0.2495 0.7703 0.5235
P 0.7703 0.2495 0.0235
P 0.7505 0.2297 0.4765
P 0.8103 0.7938 0.1977
P 0.2062 0.1897 0.3023
P 0.1897 0.2062 0.8023
P 0.7938 0.8103 0.6977
O 0.6498 0.4167 0.0945
O 0.5833 0.3502 0.4055
O 0.3502 0.5833 0.9055
O 0.4167 0.6498 0.5945
O 0.3058 0.7914 0.0839
O 0.2086 0.6942 0.4161
O 0.6942 0.2086 0.9161
O 0.7914 0.3058 0.5839
O 0.6153 0.7836 0.1771
O 0.2164 0.3847 0.3229
O 0.3847 0.2164 0.8229
O 0.7836 0.6153 0.6771
O 0.0334 0.8129 0.6537
O 0.1871 0.9666 0.8463
O 0.9666 0.1871 0.3463
O 0.8129 0.0334 0.1537
O 0.7111 0.9991 0.5659
O 0.0009 0.2889 0.9341
O 0.2889 0.0009 0.4341
O 0.9991 0.7111 0.0659
O 0.6875 0.8416 0.8504
O 0.1584 0.3125 0.6496
O 0.3125 0.1584 0.1496
O 0.8416 0.6875 0.3504
```



8.
## VNi5P6O24 (meta-GGA r2SCAN)

Data for VNi5P6O24 after structural relaxation. Values from VASP.

Output
Space group: R3, No. 146
Formation energy (eV per formula unit): -69.49

Cell and atoms, written as Quantum ESPRESSO input:
```
&SYSTEM
  ibrav = 0, nat = 36, ntyp = 4
/
ATOMIC_SPECIES
V 50.94 V.upf
Ni 58.69 Ni.upf
P 30.97 P.upf
O 16.00 O.upf
CELL_PARAMETERS angstrom
7.0973 -4.2074 -0.0092
7.0972 4.2076 -0.0088
4.6116 -0.0002 6.8416
ATOMIC_POSITIONS crystal
V 0.8568 0.8568 0.8568
Ni 0.0003 0.0003 0.0003
Ni 0.3612 0.3612 0.3612
Ni 0.5011 0.5011 0.5011
Ni 0.1413 0.1413 0.1413
Ni 0.6403 0.6403 0.6403
P 0.7502 0.0419 0.4536
P 0.0419 0.4536 0.7502
P 0.4536 0.7502 0.0419
P 0.5415 0.2531 0.9585
P 0.9585 0.5415 0.2531
P 0.2531 0.9585 0.5415
O 0.8833 0.4901 0.6842
O 0.4901 0.6842 0.8833
O 0.6842 0.8833 0.4901
O 0.9130 0.0566 0.2549
O 0.8296 0.9819 0.6193
O 0.5940 0.2400 0.4566
O 0.0566 0.2549 0.9130
O 0.2400 0.4566 0.5940
O 0.3827 0.1912 0.9861
O 0.4566 0.5940 0.2400
O 0.7470 0.0877 0.9310
O 0.9861 0.3827 0.1912
O 0.9819 0.6193 0.8296
O 0.2549 0.9130 0.0566
O 0.5584 0.4140 0.7546
O 0.6193 0.8296 0.9819
O 0.7546 0.5584 0.4140
O 0.9310 0.7470 0.0877
O 0.4140 0.7546 0.5584
O 0.1912 0.9861 0.3827
O 0.0877 0.9310 0.7470
O 0.3081 0.1179 0.5178
O 0.5178 0.3081 0.1179
O 0.1179 0.5178 0.3081
```



9.
## NiSb2O6 (meta-GGA r2SCAN)

Data for NiSb2O6 after structural relaxation. Values from VASP.

Output
Formation energy (eV per formula unit): -14.09

Cell and atoms, written as Quantum ESPRESSO input:
```
&SYSTEM
  ibrav = 0, nat = 36, ntyp = 3
/
ATOMIC_SPECIES
Ni 58.69 Ni.upf
Sb 121.76 Sb.upf
O 16.00 O.upf
CELL_PARAMETERS angstrom
-0.8652 -0.0254 -4.5716
2.8106 9.9476 -0.5873
8.9811 1.7115 -1.7093
ATOMIC_POSITIONS crystal
Ni 0.5000 0.5000 0.0000
Ni 0.0000 0.0000 0.5000
Ni 0.5000 0.5000 0.5000
Ni 0.0000 0.0000 0.0000
Sb 0.5001 0.1676 0.1662
Sb 0.5001 0.1676 0.6663
Sb 0.9999 0.6676 0.1662
Sb 0.9999 0.6676 0.6662
Sb 0.4999 0.8324 0.8337
Sb 0.4999 0.8324 0.3338
Sb 0.0001 0.3324 0.3338
Sb 0.0001 0.3324 0.8338
O 0.1914 0.5000 0.8457
O 0.1914 0.5000 0.3457
O 0.8086 0.5000 0.1543
O 0.8086 0.5000 0.6543
O 0.3086 0.0000 0.3457
O 0.3086 0.0000 0.8457
O 0.6914 0.0000 0.1543
O 0.6914 0.0000 0.6543
O 0.1973 0.1708 0.0132
O 0.1973 0.1708 0.5132
O 0.8028 0.1708 0.3160
O 0.8028 0.1708 0.8160
O 0.3027 0.6708 0.0132
O 0.3027 0.6708 0.5133
O 0.6972 0.6708 0.8160
O 0.6972 0.6708 0.3160
O 0.8027 0.8292 0.9868
O 0.8027 0.8292 0.4868
O 0.1972 0.8292 0.6840
O 0.1972 0.8292 0.1840
O 0.6973 0.3292 0.9867
O 0.6973 0.3292 0.4868
O 0.3028 0.3292 0.1840
O 0.3028 0.3292 0.6840
```



10.
## SrNi4O8 (meta-GGA r2SCAN)

Data for SrNi4O8 after structural relaxation. Values from VASP.

Output
Space group: P-1, No. 2
Formation energy (eV per formula unit): -18.05

Cell and atoms, written as Quantum ESPRESSO input:
```
&SYSTEM
  ibrav = 0, nat = 26, ntyp = 3
/
ATOMIC_SPECIES
Sr 87.62 Sr.upf
Ni 58.69 Ni.upf
O 16.00 O.upf
CELL_PARAMETERS angstrom
3.0507 -4.6247 -0.0031
5.1985 0.1166 4.3324
-7.3504 -4.8518 4.7169
ATOMIC_POSITIONS crystal
Sr 0.7495 0.5011 0.7504
Sr 0.2505 0.4989 0.2496
Ni 0.2492 0.0014 0.7503
Ni 0.7508 0.9986 0.2497
Ni 0.0000 0.0000 0.5000
Ni 0.5000 0.0000 0.0000
Ni 0.7493 0.0014 0.7503
Ni 0.2507 0.9986 0.2497
Ni 0.5000 0.0000 0.5000
Ni 0.0000 0.0000 0.0000
O 0.0860 0.8274 0.6471
O 0.5874 0.8249 0.1463
O 0.4126 0.1751 0.8537
O 0.9140 0.1726 0.3529
O 0.8277 0.8433 0.8838
O 0.3278 0.8418 0.3838
O 0.9121 0.1763 0.8530
O 0.4135 0.1736 0.3520
O 0.6722 0.1582 0.6162
O 0.1723 0.1567 0.1162
O 0.1697 0.1583 0.6162
O 0.6712 0.1567 0.1162
O 0.5865 0.8264 0.6480
O 0.0879 0.8237 0.1470
O 0.3288 0.8433 0.8838
O 0.8303 0.8417 0.3838
```



11.
## NiTe6O13 (meta-GGA r2SCAN)

Data for NiTe6O13 after structural relaxation. Values from VASP.

Output
Space group: R-3, No. 148
Formation energy (eV per formula unit): -22.32

Cell and atoms, written as Quantum ESPRESSO input:
```
&SYSTEM
  ibrav = 0, nat = 40, ntyp = 3
/
ATOMIC_SPECIES
Ni 58.69 Ni.upf
Te 127.60 Te.upf
O 16.00 O.upf
CELL_PARAMETERS angstrom
6.9618 -5.0669 0.0016
6.9619 5.0668 0.0014
3.2725 0.0001 7.9644
ATOMIC_POSITIONS crystal
Ni 0.7570 0.7570 0.7570
Ni 0.2430 0.2430 0.2430
Te 0.8333 0.5134 0.4382
Te 0.4382 0.8333 0.5134
Te 0.5134 0.4382 0.8333
Te 0.1667 0.4866 0.5618
Te 0.5618 0.1667 0.4866
Te 0.4866 0.5618 0.1667
Te 0.9738 0.0795 0.6745
Te 0.6745 0.9738 0.0795
Te 0.0795 0.6745 0.9738
Te 0.0262 0.9205 0.3255
Te 0.3255 0.0262 0.9205
Te 0.9205 0.3255 0.0262
O 0.8965 0.5823 0.6012
O 0.6012 0.8965 0.5823
O 0.5823 0.6012 0.8965
O 0.1035 0.4177 0.3988
O 0.3988 0.1035 0.4177
O 0.4177 0.3988 0.1035
O 0.8680 0.9511 0.6183
O 0.6183 0.8680 0.9511
O 0.9511 0.6183 0.8680
O 0.1320 0.0489 0.3817
O 0.3817 0.1320 0.0489
O 0.0489 0.3817 0.1320
O 0.5865 0.5865 0.5865
O 0.4135 0.4135 0.4135
O 0.8028 0.2990 0.5531
O 0.5531 0.8028 0.2990
O 0.2990 0.5531 0.8028
O 0.1972 0.7010 0.4469
O 0.4469 0.1972 0.7010
O 0.7010 0.4469 0.1972
O 0.1136 0.8741 0.8018
O 0.8018 0.1136 0.8741
O 0.8741 0.8018 0.1136
O 0.8864 0.1259 0.1982
O 0.1982 0.8864 0.1259
O 0.1259 0.1982 0.8864
```



12.
## Ni3TeO6 (meta-GGA r2SCAN)

Data for Ni3TeO6 after structural relaxation. Values from VASP.

Output
Space group: R3, No. 146
Formation energy (eV per formula unit): -12.06

Cell and atoms, written as Quantum ESPRESSO input:
```
&SYSTEM
  ibrav = 0, nat = 10, ntyp = 3
/
ATOMIC_SPECIES
Ni 58.69 Ni.upf
Te 127.60 Te.upf
O 16.00 O.upf
CELL_PARAMETERS angstrom
0.8132 -4.5317 2.9005
2.1656 -4.5661 -2.0178
4.9097 -1.9096 1.3634
ATOMIC_POSITIONS crystal
Ni 0.0134 0.0133 0.0133
Ni 0.2165 0.2165 0.2165
Ni 0.5073 0.5073 0.5073
Te 0.7086 0.7086 0.7086
O 0.0890 0.8099 0.4366
O 0.8099 0.4366 0.0890
O 0.4366 0.0890 0.8099
O 0.3239 0.6122 0.9143
O 0.9143 0.3239 0.6122
O 0.6122 0.9142 0.3239
```